MgAl2B28: relaxed, PBE.

CIF file:
```
data_MgAl2B28
_symmetry_space_group_name_H-M 'C 1 m 1'
_symmetry_Int_Tables_number 8
_cell_length_a 9.925
_cell_length_b 10.181
_cell_length_c 5.889
_cell_angle_alpha 90.00
_cell_angle_beta 126.00
_cell_angle_gamma 90.00
loop_
_symmetry_equiv_pos_as_xyz
'x,y,z'
'x,-y,z'
'x+1/2,y+1/2,z'
'x+1/2,-y+1/2,z'
loop_
_atom_site_label
_atom_site_fract_x
_atom_site_fract_y
_atom_site_fract_z
Mg1 0.000 0.000 0.000
Al1 0.114 0.500 0.864
Al2 0.245 0.000 0.752
B1 0.026 0.184 0.374
B2 0.026 0.185 0.684
B3 0.040 0.337 0.538
B4 0.185 0.337 0.192
B5 0.199 0.186 0.357
B6 0.200 0.187 0.045
B7 0.241 0.403 0.740
B8 0.314 0.332 0.566
B9 0.317 0.331 0.071
B10 0.339 0.084 0.338
B11 0.384 0.417 0.389
B12 0.406 0.171 0.655
B13 0.410 0.170 0.164
B14 0.479 0.099 0.983
```

Formation energy   -65 meV per atom
Calculated density   2.63 Mg/m³
DFT total energy   -396.2 eV/cell